Record 1
Entry from the Materials Project: Nd2Al after structural relaxation (PBE).

As for the space group: No. 227.

extended XYZ file:
```
6
Lattice="0.000 4.498 4.498 4.498 0.000 4.498 4.498 4.498 0.000" Properties=species:S:1:pos:R:3 pbc="T T T"
Al 6.747 6.747 6.747
Nd 3.373 1.124 3.373
Nd 3.373 3.373 1.124
Nd 1.124 3.373 3.373
Nd 1.124 1.124 1.124
Al 4.498 4.498 4.498
```

=====

Record 2
Entry from the Materials Project: Nd2Al after structural relaxation (PBE).

As for the space group: No. 62.

extended XYZ file:
```
12
Lattice="-0.326 0.324 -5.232 6.500 -1.656 -0.507 -2.461 -9.524 -0.436" Properties=species:S:1:pos:R:3 pbc="T T T"
Nd 0.521 -5.906 -1.716
Al -0.382 -8.937 -1.847
Nd 3.192 -4.950 -4.459
Nd 1.238 -8.221 -4.540
Nd 2.909 -10.073 -2.123
Nd 2.476 -2.635 -1.635
Nd -1.782 -6.504 -4.246
Al 4.096 -1.919 -4.328
Al 3.586 -6.985 -1.974
Al 0.128 -3.871 -4.202
Nd 0.805 -0.783 -4.053
Nd 5.496 -4.351 -1.930
```

=====

Record 3
Entry from the Materials Project: Nd3Al after structural relaxation (PBE).

As for the space group: No. 221.

extended XYZ file:
```
4
Lattice="-0.176 -2.096 4.430 4.837 -0.789 -0.181 0.790 4.363 2.096" Properties=species:S:1:pos:R:3 pbc="T T T"
Al 0.000 0.000 0.000
Nd 0.307 1.133 3.263
Nd 2.330 -1.443 2.125
Nd 2.814 1.787 0.957
```

=====

Record 4
Entry from the Materials Project: NdAl4 after structural relaxation (PBE).

As for the space group: No. 44.

extended XYZ file:
```
15
Lattice="-4.431 0.000 0.000 -2.216 -6.151 -5.681 -2.216 -6.151 5.681" Properties=species:S:1:pos:R:3 pbc="T T T"
Al -2.216 -6.151 1.037
Al -6.647 -10.430 -1.272
Al -2.216 -1.873 -1.272
Al -6.647 -10.120 1.241
Al -6.647 -8.042 2.897
Al -4.431 -6.151 2.522
Al -6.647 -8.387 -2.962
Al -2.216 -3.915 -2.962
Al -2.216 -2.182 1.241
Nd -4.431 -4.074 -0.212
Al -2.216 -6.151 -1.503
Al -4.431 -6.151 -2.936
Al -2.216 -4.261 2.897
Nd -2.216 -6.151 -5.547
Nd -4.431 -8.228 -0.212
```

=====

Record 5
Entry from the Materials Project: NdAl2 after structural relaxation (PBE).

As for the space group: No. 227.

extended XYZ file:
```
6
Lattice="-3.457 -1.647 -4.206 -4.332 3.327 -1.588 0.156 2.670 -5.020" Properties=species:S:1:pos:R:3 pbc="T T T"
Al -4.771 2.719 -6.759
Al -2.605 1.055 -5.965
Nd 0.000 0.000 0.000
Al -4.849 1.384 -4.249
Nd -1.908 1.087 -2.703
Al -3.042 3.542 -4.656
```

=====

Record 6
Entry from the Materials Project: Nd3Al after structural relaxation (PBE).

As for the space group: No. 194.

extended XYZ file:
```
8
Lattice="2.928 -3.061 -3.419 5.970 2.802 2.604 -2.730 -5.861 2.911" Properties=species:S:1:pos:R:3 pbc="T T T"
Al 3.802 -0.851 1.852
Nd 3.835 -2.342 -1.120
Nd 6.618 -1.036 0.095
Al 2.367 -5.270 0.244
Nd 5.346 -3.768 1.452
Nd 0.823 -2.353 0.644
Nd 2.334 -3.779 3.216
Nd -0.450 -5.085 2.001
```

=====

| no. | ΔE_f (meV per atom) |
| --- | --- |
| 1 | 367.2 |
| 2 | -242.6 |
| 3 | -164.4 |
| 4 | -285.4 |
| 5 | -501.9 |
| 6 | -175.4 |